# 1
The following is a GGA-PBE calculation of a relaxed Na3AuCl6 crystal, from the Materials Project.

Results
The total energy is -111.70 eV/cell. The calculation puts the spin magnetization at 0.05 Bohr magnetons per cell. For the formation energy, the calculation gives -1.3276 eV per atom.

abc: 10.3555 10.3555 10.3555
angles: 90.00 90.00 90.00
Space group Fm-3m (No. 225)
Unique sites:
Na 0.0000 0.0000 0.0000 [4 per cell]
Na 0.2500 0.2500 0.2500 [8 per cell]
Au 0.0000 0.0000 0.5000 [4 per cell]
Cl 0.0000 0.0000 0.2589 [24 per cell]


# 2
The following is a GGA-PBE calculation of a relaxed Zn3N2 crystal, from the Materials Project.

Results
The total energy is -318.24 eV/cell. For the formation energy, the calculation gives -0.0319 eV per atom.

abc: 9.8595 9.8595 9.8595
angles: 90.00 90.00 90.00
Space group Ia-3 (No. 206)
Unique sites:
Zn 0.1008 0.1496 0.6278 [48 per cell]
N 0.0000 0.2500 0.4808 [24 per cell]
N 0.2500 0.2500 0.2500 [8 per cell]


# 3
The following is a GGA-PBE calculation of a relaxed LuMg2W3S8 crystal, from the Materials Project.

Results
The total energy is -269.86 eV/cell. The calculation puts the spin magnetization at 19.87 Bohr magnetons per cell. For the formation energy, the calculation gives -1.0208 eV per atom.

abc: 7.4564 7.4564 18.1231
angles: 90.00 90.00 120.00
Space group R-3m (No. 166, hexagonal axes)
Unique sites:
Lu 0.0000 0.0000 0.0000 [3 per cell]
Mg 0.0000 0.0000 0.3750 [6 per cell]
W 0.0000 0.5000 0.5000 [9 per cell]
S 0.0000 0.0000 0.2382 [6 per cell]
S 0.0162 0.5081 0.7598 [18 per cell]


# 4
The following is a GGA-PBE calculation of a relaxed Cs3Er5P6S24 crystal, from the Materials Project.

Results
The total energy is -791.22 eV/cell. The calculation puts the spin magnetization at 0.03 Bohr magnetons per cell. For the formation energy, the calculation gives -1.3842 eV per atom.

abc: 16.1560 13.0802 20.8658
angles: 90.00 103.33 90.00
Space group Cc (No. 9)
Unique sites:
Cs 0.0000 0.1182 0.0000 [4 per cell]
Cs 0.3633 0.1185 0.0815 [4 per cell]
Cs 0.4250 0.2445 0.7619 [4 per cell]
Er 0.0817 0.1105 0.7187 [4 per cell]
Er 0.1299 0.3789 0.8582 [4 per cell]
Er 0.1812 0.4453 0.5405 [4 per cell]
Er 0.2335 0.3791 0.2240 [4 per cell]
Er 0.2819 0.1104 0.3635 [4 per cell]
P 0.1388 0.3702 0.6896 [4 per cell]
P 0.1620 0.1305 0.1965 [4 per cell]
P 0.2014 0.1308 0.8854 [4 per cell]
P 0.2246 0.3701 0.3923 [4 per cell]
P 0.3785 0.4511 0.1297 [4 per cell]
P 0.4850 0.0483 0.4523 [4 per cell]
S 0.0135 0.3990 0.4756 [4 per cell]
S 0.0393 0.3236 0.7279 [4 per cell]
S 0.0756 0.1711 0.8488 [4 per cell]
S 0.0973 0.3725 0.9842 [4 per cell]
S 0.1024 0.2564 0.1513 [4 per cell]
S 0.1036 0.4946 0.1411 [4 per cell]
S 0.1103 0.0947 0.2761 [4 per cell]
S 0.1229 0.4023 0.3144 [4 per cell]
S 0.1598 0.0058 0.1386 [4 per cell]
S 0.1637 0.2615 0.6278 [4 per cell]
S 0.1997 0.2616 0.4541 [4 per cell]
S 0.2036 0.0058 0.9430 [4 per cell]
S 0.2406 0.4021 0.7673 [4 per cell]
S 0.2529 0.0946 0.8056 [4 per cell]
S 0.2597 0.4947 0.9407 [4 per cell]
S 0.2606 0.2564 0.9305 [4 per cell]
S 0.2661 0.3728 0.0975 [4 per cell]
S 0.2877 0.1712 0.2329 [4 per cell]
S 0.3240 0.3236 0.3538 [4 per cell]
S 0.3499 0.3989 0.6060 [4 per cell]
S 0.3915 0.1147 0.4884 [4 per cell]
S 0.4129 0.4323 0.2309 [4 per cell]
S 0.4504 0.0680 0.3510 [4 per cell]
S 0.4718 0.3855 0.0934 [4 per cell]


# 5
The following is a GGA-PBE calculation of a relaxed K5CuAs2 crystal, from the Materials Project.

Results
The total energy is -43.41 eV/cell. For the formation energy, the calculation gives -0.3421 eV per atom.

abc: 5.7871 5.7871 18.9501
angles: 90.00 90.00 120.00
Space group P6_3/mmc (No. 194)
Unique sites:
K 0.0000 0.0000 0.1452 [4 per cell]
K 0.3333 0.6667 0.0493 [4 per cell]
K 0.3333 0.6667 0.2500 [2 per cell]
Cu 0.3333 0.6667 0.7500 [2 per cell]
As 0.3333 0.6667 0.6267 [4 per cell]


# 6
The following is a GGA-PBE calculation of a relaxed BeTe crystal, from the Materials Project.

Results
The total energy is -30.41 eV/cell. The value obtained for the maximum piezoelectric response is 0.171 C/m2. For the formation energy, the calculation gives -0.5704 eV per atom.

abc: 5.6673 5.6673 5.6673
angles: 90.00 90.00 90.00
Space group F-43m (No. 216)
Unique sites:
Be 0.0000 0.0000 0.0000 [4 per cell]
Te 0.2500 0.2500 0.7500 [4 per cell]